[1]
An optimized crystal structure of Ac3Y, computed with PBE.

Calculated values
* formation energy: 0.06 eV per atom

a = 7.8461 Å, b = 7.8461 Å, c = 6.3556 Å
α = 90.00°, β = 90.00°, γ = 120.00°
Fractional positions:
Ac: 0.1693 0.3386 0.2500
Ac: 0.1693 0.8307 0.2500
Ac: 0.3386 0.1693 0.7500
Ac: 0.6614 0.8307 0.2500
Ac: 0.8307 0.1693 0.7500
Ac: 0.8307 0.6614 0.7500
Y: 0.3333 0.6667 0.7500
Y: 0.6667 0.3333 0.2500

[2]
An optimized crystal structure of AlAg3, computed with PBE.

Calculated values
* formation energy: 0.01 eV per atom

a = 2.8647 Å, b = 2.8647 Å, c = 8.9823 Å
α = 90.00°, β = 90.00°, γ = 108.35°
Fractional positions:
Al: 0.0000 0.0000 0.0000
Ag: 0.0000 0.0000 0.5000
Ag: 0.5000 0.5000 0.2363
Ag: 0.5000 0.5000 0.7637

[3]
An optimized crystal structure of Al3Ag, computed with PBE.

Calculated values
* formation energy: 0.04 eV per atom

a = 4.0815 Å, b = 4.0815 Å, c = 4.0815 Å
α = 90.00°, β = 90.00°, γ = 90.00°
Fractional positions:
Al: 0.0000 0.0000 0.5000
Al: 0.0000 0.5000 0.0000
Al: 0.5000 0.0000 0.0000
Ag: 0.5000 0.5000 0.5000

[4]
An optimized crystal structure of AlAg3, computed with PBE.

Calculated values
* formation energy: -0.08 eV per atom

a = 7.0512 Å, b = 7.0512 Å, c = 7.0512 Å
α = 90.25°, β = 90.25°, γ = 90.25°
Fractional positions:
Al: 0.0000 0.0000 0.0000
Al: 0.1177 0.5022 0.6290
Al: 0.3700 0.3700 0.3700
Al: 0.5022 0.6290 0.1177
Al: 0.6290 0.1177 0.5022
Ag: 0.0148 0.1863 0.3532
Ag: 0.1154 0.6759 0.2730
Ag: 0.1863 0.3532 0.0148
Ag: 0.2470 0.7492 0.8764
Ag: 0.2730 0.1154 0.6759
Ag: 0.3532 0.0148 0.1863
Ag: 0.4429 0.7645 0.5100
Ag: 0.5100 0.4429 0.7645
Ag: 0.6112 0.9433 0.8541
Ag: 0.6759 0.2730 0.1154
Ag: 0.7492 0.8764 0.2470
Ag: 0.7645 0.5100 0.4429
Ag: 0.8541 0.6112 0.9433
Ag: 0.8764 0.2470 0.7492
Ag: 0.9433 0.8541 0.6112

[5]
An optimized crystal structure of AlAg2, computed with PBE.

Calculated values
* formation energy: -0.08 eV per atom

a = 5.1098 Å, b = 5.1098 Å, c = 4.5691 Å
α = 90.00°, β = 90.00°, γ = 59.84°
Fractional positions:
Al: 0.1733 0.8267 0.7500
Al: 0.8267 0.1733 0.2500
Ag: 0.1568 0.5223 0.2500
Ag: 0.4777 0.8432 0.2500
Ag: 0.5223 0.1568 0.7500
Ag: 0.8432 0.4777 0.7500

[6]
An optimized crystal structure of AlAg4, computed with PBE.

Calculated values
* formation energy: 0.01 eV per atom

a = 11.8052 Å, b = 11.8052 Å, c = 11.8052 Å
α = 14.33°, β = 14.33°, γ = 14.33°
Fractional positions:
Al: 0.0000 0.0000 0.0000
Ag: 0.2012 0.2012 0.2012
Ag: 0.3964 0.3964 0.3964
Ag: 0.6036 0.6036 0.6036
Ag: 0.7988 0.7988 0.7988

[7]
An optimized crystal structure of BaAlCuAgO5, computed with PBE.

Calculated values
* formation energy: -1.58 eV per atom

a = 3.7685 Å, b = 3.7685 Å, c = 8.3179 Å
α = 90.00°, β = 90.00°, γ = 90.00°
Fractional positions:
Ba: 0.0000 0.0000 0.0000
Al: 0.0000 0.0000 0.4515
Cu: 0.5000 0.5000 0.2443
Ag: 0.5000 0.5000 0.6871
O: 0.0000 0.5000 0.3005
O: 0.0000 0.5000 0.5838
O: 0.5000 0.0000 0.3005
O: 0.5000 0.0000 0.5838
O: 0.5000 0.5000 0.9730

[8]
An optimized crystal structure of BaAlCuAgO5, computed with PBE.

Calculated values
* formation energy: -1.80 eV per atom

a = 3.9314 Å, b = 4.5244 Å, c = 7.1800 Å
α = 91.86°, β = 103.75°, γ = 91.28°
Fractional positions:
Ba: 0.0000 0.0000 0.0000
Al: 0.5399 0.1191 0.5308
Cu: 0.3143 0.5020 0.7290
Ag: 0.7120 0.5188 0.2905
O: 0.2474 0.4286 0.4581
O: 0.3810 0.9344 0.7084
O: 0.3982 0.5129 0.9975
O: 0.6466 0.0045 0.3131
O: 0.8257 0.3767 0.7088

[9]
An optimized crystal structure of Cs2AlAgBr6, computed with PBE.

Calculated values
* formation energy: -1.56 eV per atom

a = 7.7339 Å, b = 7.7339 Å, c = 7.7339 Å
α = 60.00°, β = 60.00°, γ = 60.00°
Fractional positions:
Cs: 0.2500 0.2500 0.2500
Cs: 0.7500 0.7500 0.7500
Al: 0.0000 0.0000 0.0000
Ag: 0.5000 0.5000 0.5000
Br: 0.2337 0.2337 0.7663
Br: 0.2337 0.7663 0.2337
Br: 0.2337 0.7663 0.7663
Br: 0.7663 0.2337 0.2337
Br: 0.7663 0.2337 0.7663
Br: 0.7663 0.7663 0.2337

[10]
An optimized crystal structure of Na2AlAgBr6, computed with PBE.

Calculated values
* formation energy: -1.31 eV per atom

a = 7.5458 Å, b = 7.5458 Å, c = 7.5458 Å
α = 60.00°, β = 60.00°, γ = 60.00°
Fractional positions:
Na: 0.2500 0.2500 0.2500
Na: 0.7500 0.7500 0.7500
Al: 0.0000 0.0000 0.0000
Ag: 0.5000 0.5000 0.5000
Br: 0.2363 0.2363 0.7637
Br: 0.2363 0.7637 0.2363
Br: 0.2363 0.7637 0.7637
Br: 0.7637 0.2363 0.2363
Br: 0.7637 0.2363 0.7637
Br: 0.7637 0.7637 0.2363

[11]
An optimized crystal structure of Na3Al3Si3AgBrO12, computed with PBE.

Calculated values
* formation energy: -2.91 eV per atom

a = 9.0396 Å, b = 9.0396 Å, c = 9.0440 Å
α = 90.01°, β = 90.01°, γ = 90.04°
Fractional positions:
Na: 0.0601 0.9399 0.5000
Na: 0.0625 0.5601 0.1191
Na: 0.4409 0.9393 0.1202
Na: 0.5601 0.0625 0.6191
Na: 0.9393 0.4409 0.6202
Na: 0.9399 0.0601 0.0000
Al: 0.0005 0.2504 0.3096
Al: 0.2504 0.0005 0.8096
Al: 0.2523 0.5004 0.8085
Al: 0.5004 0.2523 0.3085
Al: 0.7490 0.7501 0.5600
Al: 0.7501 0.7490 0.0600
Si: 0.0004 0.7500 0.8093
Si: 0.2503 0.2505 0.5600
Si: 0.2505 0.2503 0.0600
Si: 0.5005 0.7510 0.8091
Si: 0.7500 0.0004 0.3093
Si: 0.7510 0.5005 0.3091
Ag: 0.4154 0.5855 0.4738
Ag: 0.5855 0.4154 0.9738
Br: 0.2475 0.7533 0.3085
Br: 0.7533 0.2475 0.8085
O: 0.0988 0.8919 0.7535
O: 0.1008 0.6097 0.8652
O: 0.1086 0.3070 0.1581
O: 0.1098 0.1936 0.4601
O: 0.1913 0.3882 0.6616
O: 0.1936 0.1098 0.9601
O: 0.3070 0.1086 0.6581
O: 0.3071 0.3915 0.9608
O: 0.3882 0.1913 0.1616
O: 0.3915 0.3071 0.4608
O: 0.4000 0.6124 0.7492
O: 0.4008 0.8913 0.8669
O: 0.5985 0.6935 0.9509
O: 0.6025 0.8111 0.6720
O: 0.6097 0.1008 0.3652
O: 0.6124 0.4000 0.2492
O: 0.6935 0.5985 0.4509
O: 0.6940 0.9012 0.1680
O: 0.8058 0.9008 0.4503
O: 0.8111 0.6025 0.1720
O: 0.8913 0.4008 0.3669
O: 0.8919 0.0988 0.2535
O: 0.9012 0.6940 0.6680
O: 0.9008 0.8058 0.9503

[12]
An optimized crystal structure of Rb2AlAgBr6, computed with PBE.

Calculated values
* formation energy: -1.53 eV per atom

a = 7.6580 Å, b = 7.6580 Å, c = 7.6580 Å
α = 60.00°, β = 60.00°, γ = 60.00°
Fractional positions:
Rb: 0.2500 0.2500 0.2500
Rb: 0.7500 0.7500 0.7500
Al: 0.0000 0.0000 0.0000
Ag: 0.5000 0.5000 0.5000
Br: 0.2348 0.2348 0.7652
Br: 0.2348 0.7652 0.2348
Br: 0.2348 0.7652 0.7652
Br: 0.7652 0.2348 0.2348
Br: 0.7652 0.2348 0.7652
Br: 0.7652 0.7652 0.2348